Entry P
The following is a PBE calculation of a geometry-optimized SrS structure, from the Materials Project database.

The structure in POSCAR format:
```
SrS
1.0
-1.743 3.322 -2.076
1.819 1.478 -3.590
-1.923 -0.606 -3.784
Sr S
1 1
Cartesian
0.000 0.000 0.000 Sr
-0.923 2.097 -4.725 S
```

Entry Q
The following is a PBE calculation of a geometry-optimized SrS structure, from the Materials Project database.

Properties
Magnetic moment = 0.00 Bohr magnetons per cell

The structure in POSCAR format:
```
SrS
1.0
-0.420 -2.618 -2.535
3.632 -0.511 -0.074
-0.300 -2.518 2.651
Sr S
1 1
Cartesian
1.456 -2.824 0.021 Sr
0.000 0.000 0.000 S
```

On energetic grounds, entry P is preferred over the next structure by 28.9 kJ/mol of atoms.

Entry P
The following is a PBE calculation of a geometry-optimized Sr17Ta10S42 structure, from the Materials Project database.

Properties
Magnetic moment = 0.00 Bohr magnetons per cell

The structure in POSCAR format:
```
Sr17Ta10S42
1.0
12.335 0.000 0.000
-1.456 12.256 0.000
-1.363 -1.609 12.199
S Ta Sr
42 10 17
Cartesian
4.266 2.730 6.297 S
7.700 1.483 7.366 S
0.988 -0.074 11.964 S
1.859 0.539 8.035 S
7.861 -0.476 4.152 S
11.754 2.395 1.538 S
2.253 5.644 5.323 S
9.391 5.934 2.113 S
2.253 4.321 2.080 S
0.322 7.668 2.893 S
10.847 -0.207 6.387 S
5.052 11.446 0.638 S
7.534 6.582 10.454 S
4.383 6.038 8.856 S
8.558 8.555 7.922 S
7.427 5.248 7.197 S
6.166 8.429 2.447 S
8.715 10.903 0.479 S
1.507 9.724 9.730 S
-1.344 3.098 8.218 S
3.525 11.067 6.983 S
9.511 9.300 3.849 S
0.593 6.277 8.699 S
1.679 3.308 10.520 S
-1.941 8.556 10.897 S
5.054 4.116 11.995 S
8.127 2.428 10.980 S
9.846 -0.835 9.944 S
5.354 4.948 3.777 S
4.888 0.724 10.216 S
5.527 8.095 6.189 S
-0.121 11.806 2.538 S
10.610 6.324 5.673 S
3.058 10.103 3.397 S
5.693 9.234 9.564 S
9.705 2.826 4.643 S
7.638 2.680 1.628 S
1.161 2.397 4.680 S
4.047 1.699 2.986 S
-1.440 4.910 11.506 S
3.197 8.270 0.064 S
0.207 9.509 6.172 S
8.223 4.629 0.610 Ta
0.700 5.314 10.781 Ta
9.852 1.833 6.688 Ta
8.128 9.120 10.454 Ta
-0.982 8.240 4.685 Ta
5.193 10.484 2.704 Ta
6.358 7.106 8.152 Ta
1.718 1.845 1.941 Ta
3.383 3.767 4.305 Ta
3.717 -0.578 8.794 Ta
9.922 6.006 8.749 Sr
1.586 3.593 7.467 Sr
2.697 8.073 7.350 Sr
3.413 7.054 2.825 Sr
10.497 8.486 0.953 Sr
7.255 -0.527 11.541 Sr
5.877 3.368 9.082 Sr
4.843 7.185 11.634 Sr
-0.353 4.661 3.503 Sr
-1.129 1.907 11.083 Sr
6.689 2.327 4.493 Sr
10.844 0.162 3.317 Sr
-1.361 10.442 8.605 Sr
7.735 6.806 4.555 Sr
6.649 10.748 7.137 Sr
2.853 0.000 5.126 Sr
2.025 11.104 0.515 Sr
```

Entry Q
The following is a PBE calculation of a geometry-optimized Sr17Ta10S42 structure, from the Materials Project database.

The structure in POSCAR format:
```
Sr17Ta10S42
1.0
12.319 0.000 0.000
-1.360 12.286 0.000
-1.402 -1.528 12.199
Sr S Ta
17 42 10
Cartesian
6.661 2.373 4.472 Sr
7.678 6.801 4.504 Sr
5.738 3.396 8.943 Sr
4.841 7.370 11.597 Sr
6.707 10.810 7.089 Sr
-1.290 10.450 8.549 Sr
4.693 3.432 0.630 Sr
2.676 8.055 7.358 Sr
2.016 11.036 0.507 Sr
2.848 0.019 5.142 Sr
9.940 5.968 8.721 Sr
10.504 8.479 0.898 Sr
7.232 -0.493 11.437 Sr
-0.356 4.699 3.497 Sr
-1.064 1.953 10.989 Sr
10.713 0.129 3.286 Sr
3.407 7.098 2.843 Sr
5.542 8.153 6.169 S
3.070 10.134 3.385 S
0.321 7.704 2.854 S
1.531 9.729 9.737 S
1.043 0.002 12.016 S
7.770 -0.458 4.121 S
7.616 2.692 1.520 S
-0.115 11.809 2.551 S
3.556 11.090 7.001 S
9.695 2.850 4.593 S
1.839 0.510 8.039 S
11.699 2.364 1.476 S
4.283 2.775 6.263 S
5.304 4.881 3.505 S
2.219 4.346 2.024 S
9.820 -0.799 9.898 S
2.305 5.718 5.296 S
7.653 1.520 7.323 S
1.219 2.414 4.510 S
6.171 8.477 2.404 S
7.403 5.292 7.166 S
4.792 0.777 10.258 S
3.252 8.241 0.057 S
7.543 6.661 10.444 S
8.733 10.903 0.431 S
5.077 4.201 11.924 S
5.052 11.516 0.619 S
-1.430 4.943 11.493 S
-1.905 8.641 10.921 S
10.580 6.378 5.624 S
1.710 3.323 10.557 S
9.414 5.921 2.062 S
10.811 -0.185 6.354 S
4.418 6.143 8.890 S
4.066 1.657 2.942 S
0.235 9.549 6.106 S
-1.359 3.110 8.166 S
0.577 6.363 8.756 S
8.590 8.585 7.918 S
8.127 2.493 10.891 S
5.725 9.349 9.519 S
9.478 9.323 3.791 S
3.647 -0.600 8.810 Ta
5.197 10.532 2.675 Ta
9.827 1.871 6.665 Ta
8.171 9.188 10.409 Ta
8.309 4.631 0.521 Ta
3.291 3.811 4.446 Ta
-0.988 8.288 4.639 Ta
1.617 1.802 2.016 Ta
6.377 7.166 8.135 Ta
0.721 5.344 10.780 Ta
```

On energetic grounds, entry Q is preferred over the next structure by 0.6 kJ/mol of atoms.

Entry P
The following is a PBE calculation of a geometry-optimized SrU2S5 structure, from the Materials Project database.

Properties
Magnetic moment = 16.00 Bohr magnetons per cell

The structure in POSCAR format:
```
SrU2S5
1.0
2.706 -5.165 -4.521
6.446 4.369 -1.132
5.422 -5.524 9.555
S U Sr
20 8 4
Cartesian
11.648 -4.916 6.330 S
7.308 -8.952 4.585 S
10.641 -4.346 2.795 S
2.926 -1.403 -2.428 S
7.394 -0.105 0.675 S
4.155 -5.346 0.546 S
4.628 0.844 -0.220 S
6.793 -3.558 0.083 S
4.856 -4.191 -2.197 S
6.423 -4.313 6.254 S
7.181 -6.215 3.227 S
7.266 2.632 -0.683 S
10.420 -0.974 3.355 S
10.183 -4.533 -0.530 S
4.391 -1.787 4.432 S
9.946 -7.164 4.122 S
8.151 -2.006 -2.353 S
9.718 -2.128 6.098 S
7.782 -2.762 3.819 S
3.934 -1.974 1.107 S
8.188 2.552 1.867 U
8.998 -4.860 5.035 U
4.987 0.382 2.430 U
6.386 -8.872 2.035 U
12.199 -2.690 4.473 U
2.375 -3.629 -0.571 U
5.577 -1.459 -1.134 U
9.588 -6.702 1.472 U
5.503 -3.892 2.639 Sr
12.722 -6.983 4.471 Sr
9.072 -2.428 1.263 Sr
1.852 0.663 -0.569 Sr
```

Entry Q
The following is a PBE calculation of a geometry-optimized SrU2S5 structure, from the Materials Project database.

The structure in POSCAR format:
```
SrU2S5
1.0
7.423 0.000 0.000
0.000 8.252 0.000
0.000 0.061 11.627
U Sr S
8 4 20
Cartesian
0.143 0.026 3.704 U
0.528 6.226 0.103 U
3.569 0.056 9.517 U
3.855 8.257 2.109 U
7.281 8.287 7.923 U
3.183 6.257 5.916 U
4.240 2.056 5.710 U
6.895 2.087 11.524 U
4.062 4.203 1.983 Sr
3.361 4.110 9.643 Sr
7.073 4.234 7.797 Sr
0.351 4.079 3.830 Sr
6.215 7.938 10.489 S
1.299 3.804 0.907 S
2.494 1.860 3.625 S
1.426 6.375 9.114 S
2.503 0.406 6.951 S
5.010 4.479 4.907 S
6.125 4.510 10.720 S
3.366 6.475 0.016 S
2.413 3.834 6.720 S
2.286 6.344 3.300 S
7.077 1.808 5.797 S
5.997 1.938 2.513 S
0.346 6.505 5.829 S
5.138 1.969 8.326 S
4.930 6.454 8.001 S
4.058 1.838 11.611 S
4.920 7.907 4.676 S
1.218 1.890 9.439 S
1.208 0.375 1.137 S
6.205 6.423 2.188 S
```

On energetic grounds, entry Q is preferred over the next structure by 17.3 kJ/mol of atoms.

Entry P
The following is a PBE calculation of a geometry-optimized SrY2S4 structure, from the Materials Project database.

The structure in POSCAR format:
```
SrY2S4
1.0
4.004 0.000 0.000
0.000 12.064 0.000
0.000 0.000 14.402
Y S Sr
8 16 4
Cartesian
1.001 11.246 12.816 Y
1.001 5.214 8.787 Y
1.001 5.059 1.452 Y
3.003 7.004 12.950 Y
3.003 0.973 8.653 Y
3.003 0.818 1.586 Y
3.003 6.849 5.615 Y
1.001 11.091 5.749 Y
3.003 1.036 13.271 S
1.001 4.996 6.070 S
1.001 11.028 1.130 S
3.003 5.762 3.109 S
1.001 6.301 11.293 S
3.003 9.562 11.886 S
1.001 8.534 4.685 S
1.001 0.270 10.310 S
3.003 7.068 8.331 S
3.003 10.493 7.588 S
1.001 7.602 0.387 S
3.003 11.794 4.092 S
1.001 1.571 6.814 S
1.001 2.502 2.516 S
3.003 4.461 14.015 S
3.003 3.530 9.717 S
3.003 2.920 4.869 Sr
3.003 8.952 2.332 Sr
1.001 9.143 9.533 Sr
1.001 3.112 12.070 Sr
```

Entry Q
The following is a PBE calculation of a geometry-optimized SrY2S4 structure, from the Materials Project database.

Properties
Piezoelectric modulus e_max = 0.65 C/m2
Magnetic moment = 0.00 Bohr magnetons per cell

The structure in POSCAR format:
```
SrY2S4
1.0
1.826 -1.848 -6.925
5.379 -2.089 4.627
-6.302 -3.392 1.867
S Y Sr
8 4 2
Cartesian
-2.546 -2.933 -0.884 S
5.391 -4.542 -1.114 S
2.504 -3.880 0.755 S
0.059 -5.271 -0.767 S
-0.833 -4.305 2.690 S
-4.264 -3.606 2.792 S
2.681 -3.539 -3.422 S
0.619 -1.238 -1.773 S
0.746 -3.973 5.192 Y
3.470 -2.248 2.870 Y
0.132 -2.492 0.728 Y
1.010 -6.185 1.902 Y
3.603 -1.968 -1.149 Sr
-0.437 -3.604 -3.103 Sr
```

On energetic grounds, entry P is preferred over the next structure by 6.9 kJ/mol of atoms.

Entry P
The following is a PBE calculation of a geometry-optimized Ti4ZnS8 structure, from the Materials Project database.

Properties
Magnetic moment = 0.24 Bohr magnetons per cell

The structure in POSCAR format:
```
Ti4ZnS8
1.0
-6.233 2.720 -2.872
-6.681 -0.569 3.087
-3.851 5.632 2.819
Ti S Zn
4 8 1
Cartesian
-5.042 4.176 -0.026 Ti
-5.266 2.531 2.953 Ti
0.000 0.000 0.000 Ti
-6.457 1.075 0.108 Ti
-6.038 4.705 2.143 S
-9.327 6.146 0.759 S
-4.331 2.010 0.784 S
-7.217 3.264 -0.673 S
-7.439 1.637 2.276 S
-12.435 5.772 2.251 S
-10.728 3.078 0.892 S
-9.549 4.518 3.707 S
-8.383 3.891 1.517 Zn
```

Entry Q
The following is a PBE calculation of a geometry-optimized Ti4ZnS8 structure, from the Materials Project database.

Properties
Magnetic moment = 0.79 Bohr magnetons per cell

The structure in POSCAR format:
```
Ti4ZnS8
1.0
-4.983 4.881 0.543
-4.374 1.086 -5.351
-6.697 -1.944 0.560
S Ti Zn
8 4 1
Cartesian
-6.495 3.410 -0.805 S
-9.559 0.612 -3.444 S
-11.976 3.000 -3.169 S
-4.078 1.022 -1.079 S
-9.858 2.475 -0.550 S
-6.196 1.547 -3.699 S
-7.337 0.060 -0.797 S
-8.717 3.962 -3.452 S
-5.536 -0.429 -2.396 Ti
-4.678 2.983 -2.404 Ti
-8.027 2.011 -2.124 Ti
-5.840 1.468 0.551 Ti
0.000 0.000 0.000 Zn
```

On energetic grounds, entry P is preferred over the next structure by 2.6 kJ/mol of atoms.